1.
Entry from the Materials Project: Li3Co2SbO6 after structural relaxation (PBE+U).

Cell: 6.604 6.604 6.220 Å, 74.89 74.89 26.92°
Fractional coordinates of all 12 atoms:
Li 0.000 0.000 0.000
Co 0.318 0.318 0.872
O 0.160 0.160 0.917
O 0.840 0.840 0.083
Co 0.682 0.682 0.128
O 0.158 0.158 0.402
Li 0.324 0.324 0.316
O 0.842 0.842 0.598
Li 0.676 0.676 0.684
O 0.499 0.499 0.278
O 0.501 0.501 0.722
Sb 0.000 0.000 0.500

**Space group**: No. 12
**Crystal system**: monoclinic

2.
Entry from the Materials Project: Li4Co3Sb5O16 after structural relaxation (PBE+U).

Cell: 6.200 12.132 10.758 Å, 116.16 90.28 75.25°
Fractional coordinates of all 56 atoms:
Co 0.396 0.717 0.270
O 0.596 0.308 0.906
O 0.068 0.310 0.906
Sb 0.636 0.213 0.695
O 0.677 0.635 0.653
O 0.719 0.608 0.142
Li 0.807 0.355 0.517
O 0.432 0.099 0.226
O 0.227 0.102 0.480
Sb 0.901 0.720 0.273
Li 0.993 0.985 0.991
Co 0.648 0.724 0.527
Co 0.150 0.718 0.026
O 0.192 0.092 0.962
Li 0.291 0.379 0.030
Co 0.129 0.212 0.692
Sb 0.389 0.208 0.442
Co 0.893 0.726 0.775
Sb 0.394 0.733 0.779
O 0.098 0.305 0.401
Co 0.638 0.209 0.193
O 0.185 0.615 0.144
O 0.716 0.092 0.960
O 0.305 0.845 0.180
O 0.559 0.865 0.912
Sb 0.030 0.971 0.312
O 0.470 0.605 0.381
Sb 0.893 0.209 0.934
O 0.659 0.100 0.490
O 0.455 0.094 0.715
O 0.345 0.317 0.661
O 0.106 0.814 0.902
O 0.072 0.841 0.403
Li 0.491 0.983 0.502
O 0.926 0.102 0.723
O 0.952 0.611 0.378
O 0.572 0.304 0.407
Sb 0.525 0.984 0.818
Li 0.749 0.502 0.250
O 0.967 0.607 0.877
O 0.823 0.313 0.671
Sb 0.261 0.522 0.422
O 0.612 0.810 0.400
O 0.853 0.308 0.146
Li 0.544 0.899 0.123
Li 0.251 0.507 0.752
Sb 0.150 0.207 0.189
O 0.344 0.863 0.695
O 0.850 0.838 0.180
O 0.215 0.622 0.644
O 0.959 0.099 0.186
Sb 0.761 0.522 0.919
Li 0.039 0.902 0.615
O 0.794 0.860 0.688
O 0.334 0.306 0.165
O 0.453 0.620 0.877

**Relative energy among the computed polymorphs**: 4.3 meV/atom
**Space group**: No. 1
**Crystal system**: triclinic

3.
Entry from the Materials Project: Li4Co3Sb5O16 after structural relaxation (PBE+U).

Cell: 6.191 20.779 6.217 Å, 90.40 119.86 90.00°
Fractional coordinates of all 56 atoms:
O 0.500 0.154 0.000
O 0.011 0.906 0.022
O 0.484 0.426 0.969
Co 0.668 0.860 0.842
Co 0.175 0.860 0.842
O 0.146 0.048 0.291
Sb 0.347 0.989 0.693
Li 0.321 0.189 0.642
O 0.495 0.655 0.471
O 0.003 0.156 0.005
Li 0.001 0.752 0.001
O 0.003 0.657 0.005
Li 0.321 0.689 0.642
O 0.860 0.807 0.188
Li 0.001 0.252 0.001
Sb 0.828 0.105 0.161
O 0.653 0.050 0.305
Sb 0.174 0.863 0.348
O 0.160 0.048 0.852
O 0.976 0.155 0.471
O 0.328 0.307 0.188
Co 0.826 0.105 0.652
Li 0.990 0.992 0.980
Sb 0.333 0.105 0.161
O 0.693 0.548 0.852
Sb 0.681 0.760 0.361
O 0.847 0.803 0.694
O 0.011 0.406 0.022
O 0.037 0.425 0.512
Li 0.663 0.450 0.325
Sb 0.174 0.363 0.348
Li 0.663 0.950 0.325
O 0.160 0.548 0.852
Sb 0.681 0.260 0.361
O 0.976 0.655 0.471
Sb 0.828 0.605 0.161
O 0.495 0.155 0.471
O 0.328 0.807 0.188
Co 0.667 0.360 0.842
Sb 0.347 0.489 0.693
O 0.860 0.307 0.188
Sb 0.333 0.605 0.161
O 0.146 0.548 0.291
O 0.037 0.925 0.512
O 0.500 0.654 0.000
O 0.476 0.425 0.512
O 0.329 0.811 0.657
Co 0.826 0.605 0.652
O 0.692 0.048 0.852
Co 0.175 0.360 0.842
O 0.484 0.926 0.969
Li 0.990 0.492 0.980
O 0.653 0.550 0.305
O 0.329 0.311 0.657
O 0.476 0.925 0.512
O 0.847 0.303 0.694

**Relative energy among the computed polymorphs**: 7.1 meV/atom

4.
Entry from the Materials Project: Li4Co5Sb3O16 after structural relaxation (PBE+U).

Cell: 6.007 6.007 9.715 Å, 89.51 89.51 59.98°
Fractional coordinates of all 28 atoms:
Co 0.663 0.169 0.286
Li 0.331 0.331 0.601
Sb 0.835 0.339 0.785
Co 0.672 0.672 0.493
O 0.683 0.167 0.896
O 0.038 0.491 0.167
O 0.481 0.481 0.180
O 0.969 0.510 0.664
Sb 0.170 0.170 0.285
O 0.996 0.996 0.191
O 0.158 0.158 0.903
O 0.660 0.660 0.903
Co 0.833 0.833 0.783
O 0.338 0.338 0.391
O 0.510 0.969 0.664
O 0.008 0.008 0.678
Co 0.169 0.663 0.286
O 0.514 0.514 0.665
O 0.314 0.839 0.396
O 0.491 0.038 0.167
O 0.839 0.314 0.396
Li 0.987 0.987 0.495
Co 0.350 0.350 0.019
Li 0.668 0.668 0.122
Li 0.980 0.980 0.010
O 0.840 0.840 0.385
Sb 0.339 0.835 0.785
O 0.167 0.683 0.896

**Space group**: No. 8
**Crystal system**: monoclinic

5.
Entry from the Materials Project: Li4Co3Sb5O16 after structural relaxation (PBE+U).

Cell: 6.201 10.762 10.456 Å, 90.27 90.24 89.73°
Fractional coordinates of all 56 atoms:
O 0.981 0.323 0.100
O 0.492 0.018 0.842
Sb 0.017 0.674 0.983
Sb 0.515 0.174 0.972
O 0.222 0.245 0.306
O 0.224 0.742 0.860
O 0.778 0.071 0.102
Co 0.256 0.588 0.725
O 0.739 0.584 0.091
O 0.209 0.061 0.101
Co 0.734 0.915 0.212
O 0.508 0.364 0.099
Li 0.999 0.998 0.504
O 0.770 0.922 0.606
O 0.996 0.665 0.634
O 0.527 0.665 0.621
Co 0.510 0.332 0.718
O 0.988 0.489 0.304
Li 0.482 0.160 0.373
Li 0.982 0.661 0.363
Li 0.503 0.505 0.505
Li 0.994 0.326 0.899
O 0.263 0.586 0.091
O 0.776 0.737 0.862
Sb 0.753 0.414 0.207
O 0.992 0.521 0.864
O 0.509 0.509 0.309
O 0.022 0.163 0.608
O 0.493 0.164 0.616
Co 0.244 0.410 0.210
Li 0.485 0.501 0.984
O 0.750 0.252 0.306
Sb 0.244 0.912 0.213
Li 0.983 0.990 0.984
O 0.272 0.426 0.606
Co 0.009 0.835 0.724
Sb 0.761 0.587 0.732
Li 0.490 0.836 0.901
Sb 0.023 0.340 0.522
Sb 0.261 0.087 0.721
O 0.479 0.984 0.315
O 0.003 0.833 0.094
O 0.477 0.828 0.101
Co 0.754 0.088 0.718
O 0.250 0.748 0.307
O 0.514 0.505 0.814
O 0.256 0.928 0.612
O 0.002 0.996 0.316
Sb 0.498 0.670 0.207
O 0.017 0.006 0.810
O 0.764 0.432 0.618
Sb 0.521 0.840 0.522
O 0.727 0.242 0.846
Sb 0.992 0.162 0.209
O 0.269 0.239 0.838
O 0.724 0.749 0.308

**Relative energy among the computed polymorphs**: 5.1 meV/atom
**Space group**: No. 1
**Crystal system**: triclinic

6.
Entry from the Materials Project: Li4Co3Sb5O16 after structural relaxation (PBE+U).

Cell: 6.190 10.788 12.152 Å, 116.39 75.24 90.02°
Fractional coordinates of all 56 atoms:
O 0.591 0.917 0.299
O 0.347 0.155 0.306
O 0.948 0.394 0.105
Co 0.883 0.942 0.727
Li 0.749 0.247 0.503
Co 0.893 0.283 0.214
Sb 0.014 0.640 0.971
Li 0.304 0.376 0.392
Sb 0.634 0.193 0.732
Co 0.397 0.772 0.205
O 0.846 0.157 0.309
Li 0.553 0.785 0.895
Sb 0.152 0.026 0.205
O 0.428 0.715 0.613
O 0.699 0.451 0.602
Co 0.391 0.942 0.727
O 0.083 0.419 0.315
O 0.705 0.132 0.093
O 0.602 0.419 0.315
Sb 0.739 0.579 0.521
Sb 0.643 0.026 0.205
O 0.682 0.988 0.637
O 0.351 0.179 0.865
O 0.108 0.916 0.298
Li 0.047 0.296 0.906
O 0.954 0.924 0.092
O 0.095 0.895 0.812
O 0.194 0.479 0.613
O 0.077 0.437 0.844
O 0.228 0.610 0.101
Sb 0.507 0.153 0.986
O 0.958 0.716 0.614
Li 0.009 0.016 0.981
Li 0.247 0.754 0.506
O 0.202 0.132 0.093
O 0.927 0.209 0.617
O 0.457 0.210 0.617
Li 0.507 0.491 0.987
Li 0.828 0.849 0.343
Sb 0.238 0.079 0.524
O 0.845 0.650 0.310
Co 0.388 0.438 0.716
O 0.859 0.664 0.839
O 0.671 0.610 0.101
O 0.594 0.398 0.813
O 0.785 0.179 0.864
Sb 0.646 0.521 0.213
O 0.569 0.952 0.862
O 0.342 0.647 0.317
Co 0.896 0.438 0.716
O 0.303 0.664 0.839
Sb 0.140 0.686 0.721
O 0.452 0.899 0.095
Sb 0.141 0.521 0.213
O 0.194 0.960 0.611
O 0.453 0.378 0.095

**Relative energy among the computed polymorphs**: 0.0 meV/atom
**Space group**: No. 1
**Crystal system**: triclinic

7.
Entry from the Materials Project: Li2Co3SbO8 after structural relaxation (PBE+U).

Cell: 8.259 8.259 8.259 Å, 90.00 90.00 90.00°
Fractional coordinates of all 56 atoms:
O 0.394 0.880 0.890
O 0.880 0.890 0.394
O 0.894 0.620 0.110
O 0.356 0.140 0.630
O 0.110 0.894 0.620
O 0.390 0.106 0.120
Co 0.625 0.118 0.132
O 0.856 0.360 0.370
Co 0.368 0.375 0.618
Co 0.125 0.382 0.868
Li 0.504 0.004 0.496
Sb 0.625 0.625 0.625
Co 0.868 0.125 0.382
Co 0.132 0.625 0.118
O 0.860 0.130 0.144
O 0.640 0.870 0.644
O 0.120 0.390 0.106
Li 0.246 0.746 0.754
O 0.138 0.362 0.638
O 0.610 0.606 0.380
Co 0.375 0.618 0.368
Co 0.382 0.868 0.125
Co 0.118 0.132 0.625
O 0.888 0.112 0.612
O 0.380 0.610 0.606
O 0.388 0.388 0.388
Li 0.996 0.996 0.996
O 0.870 0.644 0.640
O 0.360 0.370 0.856
O 0.130 0.144 0.860
Li 0.754 0.246 0.746
Li 0.254 0.254 0.254
O 0.362 0.638 0.138
O 0.630 0.356 0.140
O 0.112 0.612 0.888
O 0.106 0.120 0.390
O 0.606 0.380 0.610
Co 0.882 0.632 0.875
Co 0.632 0.875 0.882
Li 0.004 0.496 0.504
Sb 0.125 0.875 0.375
Co 0.618 0.368 0.375
O 0.612 0.888 0.112
O 0.140 0.630 0.356
Co 0.875 0.882 0.632
O 0.370 0.856 0.360
O 0.638 0.138 0.362
Sb 0.875 0.375 0.125
Sb 0.375 0.125 0.875
O 0.144 0.860 0.130
Li 0.496 0.504 0.004
O 0.620 0.110 0.894
O 0.644 0.640 0.870
Li 0.746 0.754 0.246
O 0.890 0.394 0.880
O 0.862 0.862 0.862

**Relative energy among the computed polymorphs**: 0.0 meV/atom
**Space group**: No. 212
**Crystal system**: cubic

8.
Entry from the Materials Project: Li2Co3SbO8 after structural relaxation (PBE+U).

Cell: 5.764 5.764 9.388 Å, 90.00 90.00 120.00°
Fractional coordinates of all 28 atoms:
Co 0.830 0.170 0.715
Li 0.333 0.667 0.897
O 0.322 0.161 0.099
O 0.966 0.483 0.836
Co 0.340 0.170 0.715
O 0.000 0.000 0.307
O 0.483 0.517 0.336
O 0.161 0.322 0.599
Li 0.667 0.333 0.397
Sb 0.667 0.333 0.991
O 0.517 0.483 0.836
Co 0.170 0.830 0.215
O 0.333 0.667 0.113
O 0.000 0.000 0.807
O 0.667 0.333 0.613
Co 0.660 0.830 0.215
Li 0.000 0.000 0.995
O 0.839 0.678 0.099
O 0.678 0.839 0.599
O 0.839 0.161 0.099
O 0.161 0.839 0.599
O 0.517 0.034 0.836
Li 0.000 0.000 0.495
Co 0.170 0.340 0.215
O 0.483 0.966 0.336
Sb 0.333 0.667 0.491
Co 0.830 0.660 0.715
O 0.034 0.517 0.336

**Relative energy among the computed polymorphs**: 28.1 meV/atom
**Space group**: No. 186
**Crystal system**: hexagonal

9.
Entry from the Materials Project: Li2Co3SbO8 after structural relaxation (PBE+U).

Cell: 5.886 5.886 5.886 Å, 58.92 58.92 58.92°
Fractional coordinates of all 14 atoms:
Co 0.500 0.500 0.000
O 0.743 0.743 0.285
Sb 0.500 0.500 0.500
O 0.734 0.734 0.734
Co 0.500 0.000 0.500
O 0.257 0.715 0.257
Li 0.874 0.874 0.874
Li 0.126 0.126 0.126
O 0.285 0.743 0.743
Co 0.000 0.500 0.500
O 0.715 0.257 0.257
O 0.743 0.285 0.743
O 0.257 0.257 0.715
O 0.266 0.266 0.266

**Relative energy among the computed polymorphs**: 9.5 meV/atom
**Space group**: No. 166
**Crystal system**: trigonal

| no. | E_form (meV/atom) |
| --- | --- |
| 1 | -1769 |
| 2 | -1857 |
| 3 | -1854 |
| 4 | -1748 |
| 5 | -1856 |
| 6 | -1861 |
| 7 | -1754 |
| 8 | -1726 |
| 9 | -1745 |